This record from the Materials Project database describes crystalline Li3VO4 at its relaxed geometry. The functional is r2SCAN.

Results
Calculated total energy, eV per atom: -8.21
Mass density, kg/m³: 2698
Total magnetization, μB per cell: 0.0
DFT formation energy, eV per atom: -2.57

a = 6.281 Å, b = 5.415 Å, c = 4.915 Å
α = 90.00°, β = 90.00°, γ = 90.00°
Atoms (fractional coordinates):
Li: 0.000 0.166 0.000
Li: 0.247 0.332 0.498
Li: 0.253 0.668 0.998
Li: 0.500 0.834 0.500
Li: 0.747 0.668 0.998
Li: 0.753 0.332 0.498
V: 0.000 0.831 0.489
V: 0.500 0.169 0.989
O: 0.000 0.133 0.598
O: 0.000 0.828 0.140
O: 0.226 0.680 0.599
O: 0.274 0.320 0.099
O: 0.500 0.172 0.640
O: 0.500 0.867 0.098
O: 0.726 0.320 0.099
O: 0.774 0.680 0.599